1.
The following is a DFT calculation (meta-GGA r2SCAN) of an optimized crystal structure of Tb7RhBr12.

The space group is R-3 (No. 148, hexagonal axes) and the conventional cell measures 14.7523, 14.7523 and 10.3646 Å, with angles of 90.00, 90.00 and 120.00 degrees. The distinct sites, in fractional coordinates, are Tb at (0.0000, 0.0000, 0.0000), Tb at (0.0434, 0.1660, 0.3559), Rh at (0.0000, 0.0000, 0.5000), Br at (0.0186, 0.5851, 0.1573) and Br at (0.0471, 0.1725, 0.8396).

The volume comes out at 1953.5 Å³/cell. For the magnetization, the calculation gives 0.00 μB per formula unit. The calculated formation energy is -1.868 eV/atom.

---

2.
The following is a DFT calculation (meta-GGA r2SCAN) of an optimized crystal structure of Tb6RhBr10.

The space group is P-1 (No. 2) and the conventional cell measures 7.338, 9.075 and 9.231 Å, with angles of 108.42, 97.04 and 105.55 degrees. The distinct sites, in fractional coordinates, are Tb at (0.030, 0.206, 0.409), Tb at (0.127, 0.548, 0.250), Tb at (0.367, 0.639, 0.683), Rh at (0.000, 0.500, 0.500), Br at (0.088, 0.873, 0.326), Br at (0.209, 0.238, 0.148), Br at (0.257, 0.586, 0.961), Br at (0.356, 0.961, 0.775) and Br at (0.450, 0.318, 0.584).

The volume comes out at 547.2 Å³/cell. For the magnetization, the calculation gives 1.01 μB per formula unit. The calculated formation energy is -1.861 eV/atom.